Entry from the Materials Project: an optimized crystal structure of Li3Pr2B3O9 (PBE-GGA).

```
Li3Pr2B3O9
1.0
-10.0920 -5.1679 8.6771
4.1625 -2.0278 3.6335
2.5158 6.2532 6.6504
Li Pr B O
12 8 12 36
Cartesian
-4.4927 -5.2127 12.5374 Li
-2.9693 -0.2854 5.4974 Li
1.0789 4.2701 6.4235 Li
-0.4444 -0.6572 13.4635 Li
-6.6461 -5.1544 8.8098 Li
0.2647 0.2096 8.2960 Li
3.2324 4.2118 10.1511 Li
-3.6784 -1.1522 10.6650 Li
-4.9796 -3.9150 10.3206 Li
-0.4003 -0.5169 5.9241 Li
1.5659 2.9724 8.6403 Li
-3.0134 -0.4257 13.0368 Li
-1.9566 -2.9299 7.7944 Pr
2.2720 1.4145 3.5536 Pr
-1.4571 1.9873 11.1666 Pr
-5.6857 -2.3570 15.4073 Pr
-5.6831 -1.6238 8.0216 Pr
2.7478 -1.5562 6.1212 Pr
2.2694 0.6812 10.9393 Pr
-6.1615 0.6136 12.8397 Pr
-6.8416 -6.4967 11.3134 B
-2.5730 -0.0013 8.4004 B
3.4279 5.5542 7.6475 B
-0.8407 -0.9413 10.5606 B
-3.8875 2.4178 12.8269 B
3.2019 0.5191 8.1952 B
0.4738 -3.3603 6.1341 B
-6.6156 -1.4617 10.7658 B
-1.6911 1.3994 14.4552 B
1.2802 1.6782 6.3307 B
-1.7226 -2.3420 4.5057 B
-4.6939 -2.6207 12.6303 B
-5.9784 -5.5317 10.8311 O
-1.6655 -0.0595 7.3601 O
2.5646 4.5891 8.1298 O
-1.7482 -0.8830 11.6008 O
-0.7153 -2.1093 9.8190 O
0.9515 0.5533 1.5971 O
-2.6984 1.1667 9.1419 O
-4.3652 -1.4958 17.3639 O
-3.3619 -1.1080 8.6940 O
2.4324 -1.0449 3.7243 O
-0.0518 0.1654 10.2670 O
-5.8461 0.1023 15.2366 O
-3.8012 1.2591 12.0614 O
3.2666 1.7551 8.8309 O
0.3875 -2.2016 6.8995 O
-6.6803 -2.6977 10.1301 O
-7.1632 -3.7845 7.3273 O
2.2398 -0.4136 8.5250 O
3.7495 2.8420 11.6336 O
-5.6535 -0.5290 10.4360 O
-5.6553 -2.7279 5.7803 O
4.1085 0.2589 7.1688 O
2.2416 1.7854 13.1806 O
-7.5222 -1.2015 11.7922 O
-2.4406 0.2785 14.7626 O
0.4431 1.9866 7.3875 O
-0.9731 -1.2210 4.1984 O
-3.8568 -2.9292 11.5735 O
-0.7591 1.3559 13.4255 O
2.1419 2.6402 5.8181 O
-2.6546 -2.2985 5.5355 O
-5.5557 -3.5828 13.1428 O
-4.3191 -3.6619 8.5068 O
1.2870 0.4323 5.7193 O
0.9054 2.7193 10.4541 O
-4.7007 -1.3749 13.2417 O
```

## Properties
- E_form (eV per atom) = -3.082
- crystal system = monoclinic
- density (g/cm3) = 4.4

Entry from the Materials Project: an optimized crystal structure of RbLiB4O7 (PBE-GGA).

```
RbLiB4O7
1.0
8.8113 0.0000 0.0000
0.0000 11.4589 0.0000
0.0000 0.0000 13.0721
Rb Li B O
8 8 32 56
Cartesian
3.2269 5.2090 1.3045 Rb
7.6326 0.5205 11.7676 Rb
5.5843 10.9384 5.2316 Rb
1.1787 6.2499 7.8405 Rb
6.0944 4.2787 10.3605 Rb
1.6887 1.4507 2.7116 Rb
2.7169 10.0081 9.2476 Rb
7.1225 7.1802 3.8245 Rb
6.6507 7.7097 10.5609 Li
2.2451 9.4786 2.5112 Li
2.1605 1.9803 9.0472 Li
6.5662 3.7491 4.0248 Li
0.7183 7.4032 11.5201 Li
5.1240 9.7851 1.5520 Li
8.0929 1.6738 8.0880 Li
3.6873 4.0557 4.9841 Li
3.2082 8.2968 12.9120 B
7.6138 8.8915 0.1600 B
5.6031 2.5673 6.6961 B
1.1974 3.1621 6.3760 B
3.7903 6.8464 10.9327 B
8.1959 10.3419 2.1393 B
5.0210 1.1170 8.6754 B
0.6153 4.6124 4.3967 B
2.0927 4.8335 10.9995 B
6.4984 0.8959 2.0725 B
6.7185 10.5630 8.6086 B
2.3129 6.6253 4.4635 B
0.5757 2.9268 10.5362 B
4.9814 2.8026 2.5359 B
8.2355 8.6563 9.0719 B
3.8299 8.5321 4.0002 B
0.0771 4.4816 12.4588 B
4.4827 1.2478 0.6133 B
8.7342 10.2110 7.1493 B
4.3286 6.9773 5.9228 B
8.7657 4.3466 1.8883 B
4.3601 1.3828 11.1838 B
0.0455 10.0761 4.6478 B
4.4512 7.1123 8.4243 B
7.0444 5.5814 0.6859 B
2.6387 0.1480 12.3862 B
1.7669 11.3108 5.8502 B
6.1725 5.8775 7.2219 B
5.5379 7.3750 12.8000 B
1.1322 9.8133 0.2720 B
3.2734 1.6456 6.8080 B
7.6790 4.0839 6.2640 B
2.8284 7.6739 11.7398 O
7.2340 9.5144 1.3322 O
5.9829 1.9445 7.8683 O
1.5773 3.7850 5.2038 O
3.8284 7.4684 9.5819 O
8.2340 9.7199 3.4901 O
4.9829 1.7389 10.0262 O
0.5773 3.9905 3.0459 O
3.2660 5.4580 10.7242 O
7.6716 0.2714 2.3478 O
5.5453 11.1874 8.8839 O
1.1397 6.0009 4.1882 O
1.8174 3.6315 10.3281 O
6.2230 2.0979 2.7439 O
6.9939 9.3610 9.2800 O
2.5882 7.8274 3.7921 O
0.2920 1.9033 9.7297 O
4.6976 3.8261 3.3423 O
8.5193 7.6327 9.8784 O
4.1136 9.5556 3.1937 O
8.5812 3.3435 11.5815 O
4.1755 2.3860 1.4906 O
0.2301 9.0729 8.0266 O
4.6358 8.1154 5.0454 O
1.1604 5.3443 11.8825 O
5.5661 0.3852 1.1895 O
7.6509 11.0737 7.7256 O
3.2452 6.1146 5.3465 O
7.6844 5.3198 12.5824 O
3.2787 0.4096 0.4897 O
1.1269 11.0492 7.0257 O
5.5325 6.1391 6.0464 O
0.5472 3.9973 0.7052 O
4.9528 1.7321 12.3669 O
8.2641 9.7267 5.8308 O
3.8584 7.4616 7.2412 O
7.5523 5.0582 1.8987 O
3.1466 0.6712 11.1733 O
1.2590 10.7877 4.6373 O
5.6647 6.4007 8.4348 O
5.9331 6.3700 0.7701 O
1.5275 10.8183 12.3019 O
2.8781 0.6406 5.7659 O
7.2838 5.0889 7.3061 O
5.1082 6.7821 11.5370 O
0.7025 10.4063 1.5351 O
3.7031 1.0526 8.0711 O
8.1087 4.6768 5.0009 O
6.7177 8.2059 12.4572 O
2.3121 8.9824 0.6148 O
2.0936 2.4765 7.1509 O
6.4992 3.2530 5.9212 O
4.4892 8.2165 0.3439 O
0.0836 8.9718 12.7282 O
4.3221 2.4871 6.1922 O
8.7277 3.2423 6.8799 O
```

## Properties
- E_form (eV per atom) = -2.793
- crystal system = orthorhombic
- density (g/cm3) = 2.5

Entry from the Materials Project: an optimized crystal structure of RbLi2B3Sb2O9 (PBE-GGA).

```
RbLi2B3Sb2O9
1.0
5.6240 0.0000 0.0000
0.0000 6.3812 0.0000
0.0000 0.5561 13.1247
Rb Li B Sb O
2 4 6 4 18
Cartesian
4.4141 0.4170 9.8436 Rb
1.2099 0.1390 3.2812 Rb
4.9789 3.5767 11.2312 Li
4.9789 3.6386 8.4559 Li
0.6451 3.2987 4.6688 Li
0.6451 3.3606 1.8935 Li
0.9119 5.8262 12.7605 B
4.7121 5.5482 6.1981 B
2.1946 3.6076 9.8436 B
3.4294 3.3296 3.2812 B
0.9119 1.3891 6.9266 B
4.7121 1.1111 0.3642 B
2.0689 4.9577 7.0700 Sb
3.5552 4.6796 0.5077 Sb
2.0689 2.2576 12.6171 Sb
3.5552 1.9796 6.0547 Sb
1.6729 6.7481 11.9984 O
3.9512 6.4701 5.4360 O
5.3902 5.2857 12.2478 O
0.2338 5.0076 5.6854 O
4.2306 5.1642 7.4403 O
1.3934 4.8862 0.8779 O
1.3741 4.2242 8.8521 O
4.2500 3.9462 2.2897 O
3.5391 3.6076 9.8436 O
2.0850 3.3296 3.2812 O
1.3741 2.9911 10.8350 O
4.2500 2.7130 4.2727 O
4.2306 2.0511 12.2468 O
1.3934 1.7730 5.6844 O
5.3902 1.9296 7.4393 O
0.2338 1.6516 0.8770 O
1.6729 0.4672 7.6887 O
3.9512 0.1891 1.1264 O
```

## Properties
- E_form (eV per atom) = -2.344
- crystal system = monoclinic
- density (g/cm3) = 3.7

Entry from the Materials Project: an optimized crystal structure of Li5BS4O16 (PBE-GGA).

```
Li5BS4O16
1.0
-6.4071 7.0405 -3.9274
-3.9063 -5.8444 -4.1044
-11.2579 -5.0632 9.2896
Li B S O
20 4 16 64
Cartesian
-18.3807 -5.7378 1.6969 Li
-7.7529 -1.8329 4.8596 Li
-3.1906 1.8707 -0.4391 Li
-13.8184 -2.0342 -3.6017 Li
-14.4965 -7.0498 2.4785 Li
-13.5500 1.5808 2.9056 Li
-7.0749 3.1827 -1.2206 Li
-8.0214 -5.4480 -1.6477 Li
-15.1709 -4.3347 0.2495 Li
-10.3582 -3.9003 6.6775 Li
-6.4004 0.4676 1.0084 Li
-11.2131 0.0332 -5.4197 Li
-12.6212 -2.2276 -0.5064 Li
-13.0853 -5.8126 7.3247 Li
-8.9502 -1.6396 1.7642 Li
-8.4860 1.9455 -6.0669 Li
-12.3579 0.7979 0.1237 Li
-15.4197 -6.5622 5.4251 Li
-9.2134 -4.6650 1.1342 Li
-6.1516 2.6951 -4.1672 Li
-16.5376 -0.0260 1.0178 B
-13.3508 -3.4188 3.2371 B
-5.0337 -3.8411 0.2401 B
-8.2205 -0.4483 -1.9793 B
-15.6705 -1.5871 -1.0588 S
-13.2039 -2.9720 5.9352 S
-5.9008 -2.2800 2.3166 S
-8.3674 -0.8951 -4.6774 S
-5.1395 -4.2271 -2.4650 S
-9.1520 1.0775 0.0899 S
-16.4318 0.3600 3.7228 S
-12.4193 -4.9446 1.1679 S
-15.9087 -4.4774 3.0396 S
-8.7462 -4.7183 4.4234 S
-5.6626 0.6103 -1.7817 S
-12.8252 0.8512 -3.1655 S
-11.9690 -1.1153 2.4568 S
-12.7726 -7.9852 4.9530 S
-9.6023 -2.7518 -1.1989 S
-8.7987 4.1180 -3.6951 S
-16.2563 -2.8552 -0.5771 O
-11.7642 -2.6422 5.9770 O
-5.3150 -1.0119 1.8349 O
-9.8071 -1.2249 -4.7191 O
-14.2924 -1.8072 -1.5465 O
-13.5593 -3.8757 7.0499 O
-7.2789 -2.0599 2.8044 O
-8.0121 0.0086 -5.7920 O
-10.0905 -7.9364 1.8999 O
-14.0650 -1.8081 5.8692 O
-11.4809 4.0693 -0.6420 O
-7.5064 -2.0590 -4.6113 O
-13.1815 -6.2030 1.3228 O
-15.1158 1.0096 3.9075 O
-8.3899 2.3359 -0.0649 O
-6.4556 -4.8767 -2.6497 O
-13.1242 -4.0346 0.2379 O
-11.0812 -5.6551 7.5006 O
-8.4471 0.1675 1.0200 O
-10.4902 1.7879 -6.2427 O
-11.0529 -5.2452 0.7661 O
-16.6754 -0.5734 4.8130 O
-10.5185 1.3781 0.4918 O
-4.8960 -3.2937 -3.5551 O
-16.6725 -3.6812 3.9667 O
-8.8111 -4.6039 2.9883 O
-4.8989 -0.1859 -2.7088 O
-12.7602 0.7368 -1.7304 O
-16.5896 -4.7442 1.7575 O
-8.9739 -3.4531 5.1485 O
-4.9818 0.8771 -0.4996 O
-12.5974 -0.4140 -3.8906 O
-13.9106 1.6778 0.9752 O
-15.4137 -5.7426 3.6256 O
-7.6607 -5.5450 0.2827 O
-6.1576 1.8755 -2.3677 O
-13.5612 -8.2617 3.7384 O
-12.1322 0.2071 3.0880 O
-8.0101 4.3946 -2.4805 O
-9.4392 -4.0742 -1.8302 O
-18.8622 -2.1507 1.7724 O
-10.6603 -1.6964 2.7068 O
-2.7092 -1.7164 -0.5146 O
-10.9111 -2.1708 -1.4490 O
-12.3162 -1.0374 1.0235 O
-13.4407 -6.9474 5.7639 O
-9.2551 -2.8297 0.2344 O
-8.1306 3.0803 -4.5060 O
-15.4842 -0.6794 0.2076 O
-13.4172 -3.8500 4.6524 O
-6.0871 -3.1877 1.0503 O
-8.1541 -0.0171 -3.3945 O
-16.3894 -0.5037 2.4225 O
-12.3112 -4.2464 2.5606 O
-5.1819 -3.3634 -1.1646 O
-9.2601 0.3792 -1.3027 O
-14.6633 -3.6428 2.5598 O
-9.9651 -5.5821 4.9194 O
-6.9081 -0.2243 -1.3019 O
-11.6062 1.7149 -3.6615 O
-13.0667 -1.9784 3.1492 O
-11.4619 -7.3562 4.3912 O
-8.5047 -1.8887 -1.8914 O
-10.1095 3.4891 -3.1333 O
```

## Properties
- E_form (eV per atom) = -2.215
- crystal system = monoclinic
- density (g/cm3) = 2.3

Question: What is the formula in the second record?
Answer: RbLiB4O7

Question: Among the records above, which one has the lowest E_form?
Answer: Li3Pr2B3O9

Question: Among the records above, which one has the highest E_form?
Answer: Li5BS4O16